Entry 1:
First-principles (GGA+U) data for a geometry-optimized Li4Co3OF8 structure, as listed in the Materials Project. Values from VASP.

```
&SYSTEM
  ibrav = 0, nat = 16, ntyp = 4
/
ATOMIC_SPECIES
Li 6.94 Li.upf
Co 58.93 Co.upf
O 16.00 O.upf
F 19.00 F.upf
ATOMIC_POSITIONS angstrom
Li 2.5927 -0.6826 4.8130
Li 2.4257 -1.0043 1.2723
Li 9.2790 -3.7514 5.6660
Li 0.0782 -0.0298 0.0636
Co 7.4099 -2.6306 7.7501
Co 9.5055 -3.4496 9.2794
Co 4.7424 -1.8987 3.0603
O 3.8659 -0.7931 9.1615
F 5.7301 -2.6877 0.2209
F 1.6386 -0.4376 2.9872
F 3.5877 -0.9601 6.5231
F 8.2146 -3.4463 3.9100
F 8.2121 -3.7309 1.3855
F 10.3556 -4.0673 7.3780
F 6.3572 -1.8411 10.3222
F 5.8093 -2.1839 5.0025
CELL_PARAMETERS angstrom
3.7911 -3.4034 -0.1319
5.0111 -0.8265 -0.4236
3.2041 -0.2648 11.0603
```

Entry 2:
First-principles (GGA+U) data for a geometry-optimized Li3Co13O5F19 structure, as listed in the Materials Project. Values from VASP.

```
&SYSTEM
  ibrav = 0, nat = 40, ntyp = 4
/
ATOMIC_SPECIES
Li 6.94 Li.upf
Co 58.93 Co.upf
O 16.00 O.upf
F 19.00 F.upf
ATOMIC_POSITIONS angstrom
Li 3.2469 -3.3536 2.3595
Li 8.6640 -1.8568 4.7517
Li 7.8199 -3.3867 -0.2936
Co 9.6833 -3.3553 2.0705
Co 4.3159 -4.8398 -0.2646
Co 5.3874 -2.0422 0.4113
Co 10.7751 -0.4921 2.9313
Co 6.8945 -3.9412 3.1702
Co 1.5006 -5.4173 0.7666
Co 10.7116 2.8095 4.8698
Co 5.1364 -1.0350 3.6655
Co 10.6293 0.3837 6.0009
Co 0.9218 -4.9032 4.0018
Co 6.4586 -3.3414 6.3920
Co 2.2637 -2.0006 5.1300
Co 7.6314 -0.4805 7.4700
O 5.7510 -3.5975 -0.6503
O 11.1402 -2.0290 1.7477
O 7.9609 -4.1392 1.5765
O 2.5748 -5.6241 -0.8278
O 11.2616 0.9411 4.2040
F 3.2887 -2.8062 0.3569
F 8.6924 -1.2902 2.7790
F 3.5649 -5.2865 1.7021
F 8.9253 -3.7921 4.0986
F 5.8290 -0.4896 1.7801
F 5.2338 -2.9981 2.3508
F 10.6307 -1.6311 4.8394
F 1.2311 -3.8027 2.1478
F 6.6050 -2.2585 4.5267
F 0.8321 -6.3524 2.4847
F 6.1472 -4.7725 4.9681
F 8.5172 0.0216 5.4453
F 3.1407 -1.5019 3.0986
F 2.9639 -3.9011 4.3175
F 8.3383 -2.3814 6.6683
F 4.0841 -1.1869 5.5018
F 9.5002 0.2788 7.8148
F 5.9650 -1.7178 7.4467
F 0.5493 -3.2007 5.0281
CELL_PARAMETERS angstrom
-1.4093 -3.3537 4.9292
2.4522 -4.9103 -2.7914
10.8537 2.9832 4.8298
```

Record-wise ΔE_f values, in eV/atom: -2.5517, -2.1132